[1]
{
  "formula": "HgWO4",
  "functional": "PBE with a Hubbard U",
  "state": "optimized geometry",
  "lattice_angstrom": [[-7.392, 0.793, -0.520], [-0.381, -5.848, -3.491], [-1.811, -12.010, 7.428]],
  "species": ["O", "O", "O", "O", "O", "O", "O", "O", "O", "O", "O", "O", "O", "O", "O", "O", "O", "O", "O", "O", "O", "O", "O", "O", "O", "O", "O", "O", "O", "O", "O", "O", "Hg", "Hg", "Hg", "Hg", "Hg", "Hg", "Hg", "Hg", "W", "W", "W", "W", "W", "W", "W", "W"],
  "frac_coords": [[0.535, 0.244, 0.584], [0.353, 0.684, 0.817], [0.251, 0.248, 0.431], [0.113, 0.851, 0.473], [0.719, 0.870, 0.727], [0.749, 0.752, 0.569], [0.853, 0.316, 0.683], [0.418, 0.860, 0.584], [0.357, 0.414, 0.051], [0.567, 0.360, 0.811], [0.647, 0.316, 0.183], [0.613, 0.149, 0.027], [0.433, 0.640, 0.189], [0.918, 0.140, 0.916], [0.781, 0.870, 0.227], [0.219, 0.130, 0.773], [0.933, 0.360, 0.311], [0.965, 0.244, 0.084], [0.465, 0.756, 0.416], [0.035, 0.756, 0.916], [0.643, 0.586, 0.949], [0.281, 0.130, 0.273], [0.387, 0.851, 0.973], [0.887, 0.149, 0.527], [0.147, 0.684, 0.317], [0.857, 0.586, 0.449], [0.582, 0.140, 0.416], [0.067, 0.640, 0.689], [0.143, 0.414, 0.551], [0.751, 0.752, 0.069], [0.082, 0.860, 0.084], [0.249, 0.248, 0.931], [0.695, 0.012, 0.842], [0.944, 0.509, 0.865], [0.056, 0.491, 0.135], [0.305, 0.988, 0.158], [0.805, 0.012, 0.342], [0.195, 0.988, 0.658], [0.444, 0.491, 0.635], [0.556, 0.509, 0.365], [0.455, 0.436, 0.908], [0.045, 0.436, 0.408], [0.669, 0.014, 0.585], [0.545, 0.564, 0.092], [0.955, 0.564, 0.592], [0.331, 0.986, 0.415], [0.831, 0.014, 0.085], [0.169, 0.986, 0.915]],
  "energy_corrected_mp2020_ha_per_atom": -0.2601,
  "e_tot_ev_per_atom": -5.879,
  "formation_enthalpy_0k_ev_per_fu": -9.41
}

***

[2]
{
  "formula": "HgWO4",
  "functional": "PBE with a Hubbard U",
  "state": "optimized geometry",
  "lattice_angstrom": [[3.108, 5.805, 0.000], [-3.108, 5.805, 0.000], [0.000, 2.122, 4.828]],
  "species": ["W", "W", "Hg", "Hg", "O", "O", "O", "O", "O", "O", "O", "O"],
  "frac_coords": [[0.181, 0.819, 0.250], [0.819, 0.181, 0.750], [0.000, 0.500, 0.000], [0.500, 0.000, 0.500], [0.524, 0.242, 0.976], [0.188, 0.003, 0.473], [0.812, 0.997, 0.527], [0.997, 0.812, 0.027], [0.003, 0.188, 0.973], [0.476, 0.758, 0.024], [0.758, 0.476, 0.524], [0.242, 0.524, 0.476]],
  "energy_corrected_mp2020_ha_per_atom": -0.2630,
  "e_tot_ev_per_atom": -5.960,
  "formation_enthalpy_0k_ev_per_fu": -9.89
}

***

[3]
{
  "formula": "LaHo3Mn8O20",
  "functional": "PBE with a Hubbard U",
  "state": "optimized geometry",
  "lattice_angstrom": [[5.794, 0.000, 0.000], [0.000, 7.434, 0.000], [0.000, 0.057, 8.619]],
  "species": ["O", "O", "O", "O", "O", "O", "O", "O", "O", "O", "O", "O", "O", "O", "O", "O", "O", "O", "O", "O", "Mn", "Mn", "Mn", "Mn", "Mn", "Mn", "Mn", "Mn", "Ho", "Ho", "Ho", "La"],
  "frac_coords": [[0.269, 0.001, 0.002], [0.731, 0.001, 0.002], [0.500, 0.152, 0.434], [0.000, 0.834, 0.556], [0.240, 0.893, 0.292], [0.000, 0.338, 0.951], [0.757, 0.092, 0.708], [0.243, 0.092, 0.708], [0.000, 0.663, 0.058], [0.275, 0.510, 0.494], [0.246, 0.614, 0.796], [0.725, 0.510, 0.494], [0.000, 0.156, 0.438], [0.500, 0.651, 0.069], [0.500, 0.847, 0.563], [0.500, 0.349, 0.933], [0.240, 0.393, 0.207], [0.760, 0.393, 0.207], [0.760, 0.893, 0.292], [0.754, 0.614, 0.796], [0.254, 0.997, 0.498], [0.745, 0.501, 0.002], [0.500, 0.596, 0.649], [0.500, 0.085, 0.851], [0.500, 0.910, 0.151], [0.500, 0.413, 0.347], [0.255, 0.501, 0.002], [0.746, 0.997, 0.498], [0.000, 0.860, 0.830], [0.000, 0.139, 0.170], [0.000, 0.643, 0.327], [0.000, 0.362, 0.670]],
  "energy_corrected_mp2020_ha_per_atom": -0.3165,
  "e_tot_ev_per_atom": -7.767,
  "formation_enthalpy_0k_ev_per_fu": -84.70
}

***

[4]
{
  "formula": "Li7Ho3Mo8O32",
  "functional": "PBE with a Hubbard U",
  "state": "optimized geometry",
  "lattice_angstrom": [[-5.387, -3.732, 1.910], [0.168, -8.020, -5.941], [5.667, -8.247, 3.994]],
  "species": ["O", "O", "O", "O", "O", "O", "O", "O", "O", "O", "O", "O", "O", "O", "O", "O", "O", "O", "O", "O", "O", "O", "O", "O", "O", "O", "O", "O", "O", "O", "O", "O", "Mo", "Mo", "Mo", "Mo", "Mo", "Mo", "Mo", "Mo", "Ho", "Ho", "Ho", "Li", "Li", "Li", "Li", "Li", "Li", "Li"],
  "frac_coords": [[0.589, 0.289, 0.908], [0.055, 0.261, 0.568], [0.945, 0.737, 0.432], [0.794, 0.705, 0.796], [0.558, 0.761, 0.568], [0.088, 0.794, 0.913], [0.612, 0.066, 0.265], [0.363, 0.699, 0.360], [0.437, 0.598, 0.860], [0.055, 0.902, 0.137], [0.158, 0.416, 0.932], [0.354, 0.078, 0.071], [0.817, 0.011, 0.661], [0.386, 0.934, 0.735], [0.685, 0.492, 0.338], [0.637, 0.302, 0.640], [0.892, 0.435, 0.727], [0.136, 0.802, 0.641], [0.445, 0.236, 0.433], [0.864, 0.200, 0.359], [0.642, 0.922, 0.930], [0.946, 0.094, 0.865], [0.701, 0.801, 0.204], [0.860, 0.587, 0.073], [0.914, 0.200, 0.093], [0.295, 0.199, 0.795], [0.549, 0.406, 0.145], [0.117, 0.564, 0.268], [0.180, 0.991, 0.337], [0.201, 0.301, 0.205], [0.411, 0.707, 0.087], [0.318, 0.511, 0.660], [0.155, 0.144, 0.178], [0.886, 0.270, 0.702], [0.116, 0.731, 0.299], [0.615, 0.232, 0.299], [0.842, 0.858, 0.821], [0.659, 0.642, 0.177], [0.386, 0.767, 0.702], [0.346, 0.357, 0.820], [0.231, 0.543, 0.056], [0.272, 0.955, 0.939], [0.727, 0.049, 0.058], [0.000, 0.001, 0.500], [0.767, 0.456, 0.934], [0.560, 0.850, 0.368], [0.439, 0.151, 0.632], [0.936, 0.646, 0.638], [0.501, 0.500, 0.502], [0.059, 0.349, 0.368]],
  "energy_corrected_mp2020_ha_per_atom": -0.2897,
  "e_tot_ev_per_atom": -6.931,
  "formation_enthalpy_0k_ev_per_fu": -121.94
}

***

[5]
{
  "formula": "LiHoW2O8",
  "functional": "PBE with a Hubbard U",
  "state": "optimized geometry",
  "lattice_angstrom": [[5.927, 0.000, 0.000], [0.000, 5.089, 0.000], [0.000, 4.421, 10.056]],
  "species": ["O", "O", "O", "O", "O", "O", "O", "O", "O", "O", "O", "O", "O", "O", "O", "O", "Ho", "Ho", "Li", "Li", "W", "W", "W", "W"],
  "frac_coords": [[0.632, 0.731, 0.365], [0.628, 0.210, 0.891], [0.917, 0.848, 0.112], [0.083, 0.848, 0.612], [0.628, 0.790, 0.609], [0.372, 0.210, 0.391], [0.632, 0.269, 0.135], [0.368, 0.269, 0.635], [0.110, 0.650, 0.402], [0.917, 0.152, 0.388], [0.110, 0.350, 0.098], [0.372, 0.790, 0.109], [0.890, 0.650, 0.902], [0.083, 0.152, 0.888], [0.890, 0.350, 0.598], [0.368, 0.731, 0.865], [0.321, 0.000, 0.250], [0.679, 0.000, 0.750], [0.758, 0.500, 0.250], [0.242, 0.500, 0.750], [0.825, 0.764, 0.487], [0.825, 0.236, 0.013], [0.175, 0.236, 0.513], [0.175, 0.764, 0.987]],
  "energy_corrected_mp2020_ha_per_atom": -0.3185,
  "e_tot_ev_per_atom": -7.470,
  "formation_enthalpy_0k_ev_per_fu": -32.02
}

***

[6]
{
  "formula": "Ho5MgMo2O12",
  "functional": "PBE with a Hubbard U",
  "state": "optimized geometry",
  "lattice_angstrom": [[0.053, -5.903, -0.034], [-6.217, 3.016, 1.893], [0.011, -0.042, -7.425]],
  "species": ["O", "O", "O", "O", "O", "O", "O", "O", "O", "O", "O", "O", "Mo", "Mo", "Mg", "Ho", "Ho", "Ho", "Ho", "Ho"],
  "frac_coords": [[0.492, 0.975, 0.188], [0.890, 0.300, 0.570], [0.400, 0.301, 0.567], [0.916, 0.348, 0.092], [0.611, 0.685, 0.454], [0.508, 0.000, 0.810], [0.436, 0.349, 0.098], [0.011, 0.020, 0.795], [0.986, 0.991, 0.198], [0.594, 0.660, 0.879], [0.061, 0.658, 0.875], [0.078, 0.673, 0.451], [0.241, 0.000, 0.001], [0.765, 0.002, 0.999], [0.859, 0.709, 0.677], [0.678, 0.364, 0.847], [0.296, 0.589, 0.648], [0.684, 0.367, 0.340], [0.311, 0.613, 0.192], [0.008, 0.045, 0.495]],
  "energy_corrected_mp2020_ha_per_atom": -0.3120,
  "e_tot_ev_per_atom": -7.757,
  "formation_enthalpy_0k_ev_per_fu": -64.22,
  "relative_energy_kj_per_mol_atoms": 9.26
}

***

[7]
{
  "formula": "Ho5MgMo2O12",
  "functional": "PBE with a Hubbard U",
  "state": "optimized geometry",
  "lattice_angstrom": [[0.204, -6.009, -0.313], [-5.905, 3.305, 2.107], [-0.025, -0.378, -7.824]],
  "species": ["Ho", "Ho", "Ho", "Ho", "Ho", "O", "O", "O", "O", "O", "O", "O", "O", "O", "O", "O", "O", "Mo", "Mo", "Mg"],
  "frac_coords": [[0.306, 0.635, 0.635], [0.702, 0.401, 0.331], [0.376, 0.646, 0.214], [0.032, 0.000, 0.481], [0.630, 0.370, 0.803], [0.474, 0.360, 0.100], [0.472, 0.615, 0.896], [0.063, 0.049, 0.813], [0.517, 0.011, 0.823], [0.115, 0.694, 0.439], [0.030, 0.641, 0.877], [0.951, 0.958, 0.190], [0.466, 0.990, 0.181], [0.971, 0.353, 0.105], [0.616, 0.701, 0.439], [0.438, 0.302, 0.548], [0.949, 0.283, 0.611], [0.749, 0.987, 0.997], [0.226, 0.994, 0.005], [0.094, 0.362, 0.863]],
  "energy_corrected_mp2020_ha_per_atom": -0.3130,
  "e_tot_ev_per_atom": -7.786,
  "formation_enthalpy_0k_ev_per_fu": -64.78,
  "relative_energy_kj_per_mol_atoms": 6.54
}

***

[8]
{
  "formula": "HoMgMo2O6",
  "functional": "PBE with a Hubbard U",
  "state": "optimized geometry",
  "lattice_angstrom": [[5.641, 0.000, 0.000], [0.000, 5.391, 0.000], [0.000, 5.346, 7.958]],
  "species": ["O", "O", "O", "O", "O", "O", "O", "O", "O", "O", "O", "O", "Mg", "Mg", "Ho", "Ho", "Mo", "Mo", "Mo", "Mo"],
  "frac_coords": [[0.337, 0.124, 0.247], [0.071, 0.260, 0.927], [0.184, 0.888, 0.754], [0.938, 0.599, 0.070], [0.434, 0.740, 0.071], [0.062, 0.599, 0.570], [0.566, 0.740, 0.571], [0.663, 0.124, 0.747], [0.816, 0.888, 0.254], [0.929, 0.260, 0.427], [0.440, 0.395, 0.432], [0.560, 0.395, 0.932], [0.709, 0.254, 0.249], [0.291, 0.254, 0.749], [0.189, 0.738, 0.251], [0.811, 0.738, 0.751], [0.254, 0.001, 0.500], [0.744, 0.500, 0.500], [0.746, 0.001, 0.000], [0.256, 0.500, 0.000]],
  "energy_corrected_mp2020_ha_per_atom": -0.3083,
  "e_tot_ev_per_atom": -7.337,
  "formation_enthalpy_0k_ev_per_fu": -26.34
}

***

[9]
{
  "formula": "Ho5MgMo2O12",
  "functional": "PBE with a Hubbard U",
  "state": "optimized geometry",
  "lattice_angstrom": [[0.641, 1.285, -5.930], [5.743, -1.902, 3.348], [-3.297, -6.220, -1.704]],
  "species": ["O", "O", "O", "O", "O", "O", "O", "O", "O", "O", "O", "O", "Ho", "Ho", "Ho", "Ho", "Ho", "Mo", "Mo", "Mg"],
  "frac_coords": [[0.495, 0.991, 0.210], [0.505, 0.009, 0.790], [0.903, 0.351, 0.103], [0.448, 0.351, 0.103], [0.097, 0.649, 0.897], [0.873, 0.279, 0.559], [0.127, 0.721, 0.441], [0.594, 0.721, 0.441], [0.991, 0.982, 0.190], [0.406, 0.279, 0.559], [0.552, 0.649, 0.897], [0.009, 0.018, 0.810], [0.290, 0.580, 0.642], [0.298, 0.596, 0.142], [0.702, 0.404, 0.858], [0.710, 0.420, 0.358], [0.000, 0.000, 0.500], [0.245, 0.000, 0.000], [0.755, 0.000, 0.000], [0.500, 0.000, 0.500]],
  "energy_corrected_mp2020_ha_per_atom": -0.3155,
  "e_tot_ev_per_atom": -7.853,
  "formation_enthalpy_0k_ev_per_fu": -66.14,
  "relative_energy_kj_per_mol_atoms": 0.00
}

***

[10]
{
  "formula": "Ho2MgV4O12",
  "functional": "PBE with a Hubbard U",
  "state": "optimized geometry",
  "lattice_angstrom": [[5.175, -0.051, 0.016], [-0.089, 5.498, -0.003], [0.023, 0.001, 7.542]],
  "species": ["V", "V", "V", "V", "Ho", "Ho", "O", "O", "O", "O", "O", "O", "O", "O", "O", "O", "O", "O", "Mg"],
  "frac_coords": [[0.524, 0.030, 0.998], [0.522, 0.031, 0.502], [0.035, 0.499, 0.998], [0.035, 0.494, 0.514], [0.029, 0.933, 0.757], [0.542, 0.589, 0.252], [0.806, 0.834, 0.450], [0.824, 0.825, 0.064], [0.726, 0.316, 0.070], [0.198, 0.192, 0.959], [0.136, 0.451, 0.256], [0.213, 0.195, 0.555], [0.722, 0.324, 0.446], [0.407, 0.986, 0.250], [0.613, 0.036, 0.762], [0.926, 0.540, 0.756], [0.299, 0.720, 0.542], [0.309, 0.714, 0.968], [0.020, 0.076, 0.232]],
  "energy_corrected_mp2020_ha_per_atom": -0.3130,
  "e_tot_ev_per_atom": -7.724,
  "formation_enthalpy_0k_ev_per_fu": -55.33
}

***

[11]
{
  "formula": "HoMgW2O6",
  "functional": "PBE with a Hubbard U",
  "state": "optimized geometry",
  "lattice_angstrom": [[-5.522, 4.142, 4.060], [-3.681, -1.148, -3.836], [-1.518, -4.704, 2.735]],
  "species": ["O", "O", "O", "O", "O", "O", "O", "O", "O", "O", "O", "O", "Mg", "Mg", "W", "W", "W", "W", "Ho", "Ho"],
  "frac_coords": [[0.676, 0.188, 0.822], [0.324, 0.188, 0.822], [0.000, 0.370, 0.088], [0.500, 0.872, 0.403], [0.682, 0.330, 0.311], [0.821, 0.808, 0.183], [0.822, 0.667, 0.689], [0.000, 0.142, 0.571], [0.500, 0.642, 0.930], [0.318, 0.330, 0.311], [0.179, 0.808, 0.183], [0.178, 0.667, 0.689], [0.500, 0.000, 0.037], [0.000, 0.502, 0.465], [0.750, 0.000, 0.496], [0.750, 0.500, 0.005], [0.250, 0.500, 0.005], [0.250, 0.000, 0.496], [0.500, 0.491, 0.554], [0.000, 0.993, 0.942]],
  "energy_corrected_mp2020_ha_per_atom": -0.3210,
  "e_tot_ev_per_atom": -7.434,
  "formation_enthalpy_0k_ev_per_fu": -25.55
}

***

[12]
{
  "formula": "Ho4MgW6O24",
  "functional": "PBE with a Hubbard U",
  "state": "optimized geometry",
  "lattice_angstrom": [[3.873, 5.586, 0.033], [-3.873, 5.586, -0.033], [-3.715, 0.000, 10.519]],
  "species": ["W", "W", "W", "W", "W", "W", "O", "O", "O", "O", "O", "O", "O", "O", "O", "O", "O", "O", "O", "O", "O", "O", "O", "O", "O", "O", "O", "O", "O", "O", "Mg", "Ho", "Ho", "Ho", "Ho"],
  "frac_coords": [[0.819, 0.478, 0.561], [0.201, 0.501, 0.426], [0.501, 0.201, 0.074], [0.478, 0.819, 0.939], [0.879, 0.879, 0.750], [0.156, 0.156, 0.250], [0.065, 0.024, 0.385], [0.117, 0.311, 0.570], [0.766, 0.637, 0.953], [0.944, 0.970, 0.601], [0.599, 0.328, 0.956], [0.328, 0.599, 0.544], [0.805, 0.319, 0.708], [0.986, 0.586, 0.777], [0.392, 0.686, 0.063], [0.456, 0.979, 0.246], [0.200, 0.367, 0.080], [0.633, 0.278, 0.214], [0.637, 0.766, 0.547], [0.979, 0.456, 0.254], [0.367, 0.200, 0.420], [0.586, 0.986, 0.723], [0.319, 0.805, 0.792], [0.970, 0.944, 0.899], [0.278, 0.633, 0.286], [0.311, 0.117, 0.930], [0.679, 0.899, 0.081], [0.024, 0.065, 0.115], [0.899, 0.679, 0.419], [0.686, 0.392, 0.437], [0.590, 0.590, 0.250], [0.036, 0.719, 0.099], [0.301, 0.935, 0.580], [0.719, 0.036, 0.401], [0.935, 0.301, 0.920]],
  "energy_corrected_mp2020_ha_per_atom": -0.3279,
  "e_tot_ev_per_atom": -7.691,
  "formation_enthalpy_0k_ev_per_fu": -95.89
}